! TmAl6Fe6 | Materials Project | meta-GGA r2SCAN | optimized geometry; values from VASP
! Total energy = -12.80 eV/atom
! Space group = No. 12
! Energy of formation = -32.75 kJ per mole of atoms
! Total moment = 11.93 μB/f.u.
! Crystal system = monoclinic
&SYSTEM
  ibrav = 0, nat = 13, ntyp = 3
/
ATOMIC_SPECIES
Al 26.98 Al.upf
Fe 55.84 Fe.upf
Tm 168.93 Tm.upf
CELL_PARAMETERS angstrom
2.284 1.413 5.954
-6.008 2.504 0.712
2.517 -6.016 -0.596
ATOMIC_POSITIONS crystal
Al 0.337 0.000 0.337
Al 0.807 0.307 0.500
Al 0.654 0.654 0.000
Al 0.663 0.000 0.663
Al 0.346 0.346 0.000
Al 0.193 0.693 0.500
Fe 0.761 0.500 0.261
Fe 0.000 0.000 0.500
Fe 0.500 0.000 0.000
Fe 0.000 0.500 0.000
Fe 0.239 0.500 0.739
Fe 0.500 0.500 0.500
Tm 0.000 0.000 0.000

---

! UAl9Fe3 | Materials Project | meta-GGA r2SCAN | optimized geometry; values from VASP
! Total energy = -14.42 eV/atom
! Space group = No. 12
! Energy of formation = -27.67 kJ per mole of atoms
! Total moment = 7.14 μB/f.u.
! Crystal system = monoclinic
&SYSTEM
  ibrav = 0, nat = 13, ntyp = 3
/
ATOMIC_SPECIES
Al 26.98 Al.upf
Fe 55.84 Fe.upf
U 238.03 U.upf
CELL_PARAMETERS angstrom
-3.931 0.538 5.452
3.328 -4.948 -3.147
4.712 -0.983 4.605
ATOMIC_POSITIONS crystal
Al 0.710 0.485 0.785
Al 0.000 0.354 0.662
Al 0.515 0.290 0.215
Al 0.000 0.646 0.338
Al 0.290 0.515 0.215
Al 0.000 0.000 0.500
Al 0.485 0.710 0.785
Al 0.646 0.000 0.338
Al 0.354 0.000 0.662
Fe 0.000 0.500 0.000
Fe 0.500 0.500 0.500
Fe 0.500 0.000 0.000
U 0.000 0.000 0.000

---

! UAl8Fe4 | Materials Project | meta-GGA r2SCAN | optimized geometry; values from VASP
! Total energy = -15.04 eV/atom
! Space group = No. 139
! Energy of formation = -30.45 kJ per mole of atoms
! Total moment = 4.29 μB/f.u.
! Crystal system = tetragonal
&SYSTEM
  ibrav = 0, nat = 13, ntyp = 3
/
ATOMIC_SPECIES
Al 26.98 Al.upf
Fe 55.84 Fe.upf
U 238.03 U.upf
CELL_PARAMETERS angstrom
-4.357 4.357 2.499
4.357 -4.357 2.499
4.357 4.357 -2.499
ATOMIC_POSITIONS crystal
Al 0.279 0.500 0.779
Al 0.500 0.279 0.779
Al 0.656 0.000 0.656
Al 0.500 0.721 0.221
Al 0.000 0.656 0.656
Al 0.344 0.000 0.344
Al 0.000 0.344 0.344
Al 0.721 0.500 0.221
Fe 0.000 0.000 0.500
Fe 0.500 0.000 0.000
Fe 0.000 0.500 0.000
Fe 0.500 0.500 0.500
U 0.000 0.000 0.000

---

! YAl8Fe4 | Materials Project | meta-GGA r2SCAN | optimized geometry; values from VASP
! Total energy = -10.53 eV/atom
! Space group = No. 139
! Energy of formation = -37.19 kJ per mole of atoms
! Total moment = 6.93 μB/f.u.
! Crystal system = tetragonal
&SYSTEM
  ibrav = 0, nat = 13, ntyp = 3
/
ATOMIC_SPECIES
Al 26.98 Al.upf
Y 88.91 Y.upf
Fe 55.84 Fe.upf
CELL_PARAMETERS angstrom
4.624 -0.002 1.882
2.310 6.157 0.941
-0.013 0.000 6.643
ATOMIC_POSITIONS crystal
Al 0.500 0.778 0.222
Al 0.500 0.222 0.778
Al 0.278 0.222 0.222
Al 0.000 0.658 0.342
Al 0.342 0.658 0.658
Al 0.000 0.342 0.658
Al 0.658 0.342 0.342
Al 0.722 0.778 0.778
Y 0.000 0.000 0.000
Fe 0.000 0.500 0.000
Fe 0.000 0.000 0.500
Fe 0.500 0.500 0.000
Fe 0.500 0.000 0.500

---

! YbAl7Fe5 | Materials Project | meta-GGA r2SCAN | optimized geometry; values from VASP
! Total energy = -12.35 eV/atom
! Space group = No. 44
! Energy of formation = -35.45 kJ per mole of atoms
! Total moment = 10.26 μB/f.u.
! Crystal system = orthorhombic
&SYSTEM
  ibrav = 0, nat = 13, ntyp = 3
/
ATOMIC_SPECIES
Fe 55.84 Fe.upf
Al 26.98 Al.upf
Yb 173.04 Yb.upf
CELL_PARAMETERS angstrom
-1.719 4.549 1.013
1.917 2.112 5.948
5.876 0.175 -2.993
ATOMIC_POSITIONS crystal
Fe 0.498 0.001 0.498
Fe 0.999 0.001 0.498
Fe 0.999 0.502 0.999
Fe 0.735 0.765 0.235
Fe 0.498 0.502 0.999
Al 0.503 0.206 0.213
Al 0.993 0.350 0.336
Al 0.503 0.787 0.794
Al 0.274 0.226 0.774
Al 0.660 0.340 0.660
Al 0.339 0.661 0.339
Al 0.993 0.664 0.650
Yb 0.005 0.995 0.005

---

! YbAl6Fe6 | Materials Project | meta-GGA r2SCAN | optimized geometry; values from VASP
! Total energy = -12.91 eV/atom
! Space group = No. 71
! Energy of formation = -33.08 kJ per mole of atoms
! Total moment = 11.89 μB/f.u.
! Crystal system = orthorhombic
&SYSTEM
  ibrav = 0, nat = 13, ntyp = 3
/
ATOMIC_SPECIES
Al 26.98 Al.upf
Fe 55.84 Fe.upf
Yb 173.04 Yb.upf
CELL_PARAMETERS angstrom
4.554 1.819 0.661
4.501 -3.303 -3.403
-3.098 2.846 -5.005
ATOMIC_POSITIONS crystal
Al 0.654 0.346 0.654
Al 0.692 0.808 0.192
Al 0.346 0.654 0.346
Al 0.000 0.337 0.337
Al 0.000 0.663 0.663
Al 0.308 0.192 0.808
Fe 0.000 0.500 0.000
Fe 0.500 0.760 0.760
Fe 0.000 0.000 0.500
Fe 0.500 0.240 0.240
Fe 0.500 0.000 0.500
Fe 0.500 0.500 0.000
Yb 0.000 0.000 0.000

---

! ZrAlFe4 | Materials Project | meta-GGA r2SCAN | optimized geometry; values from VASP
! Total energy = -14.71 eV/atom
! Space group = No. 216
! Energy of formation = -18.16 kJ per mole of atoms
! Total moment = 7.26 μB/f.u.
! Crystal system = cubic
&SYSTEM
  ibrav = 0, nat = 6, ntyp = 3
/
ATOMIC_SPECIES
Fe 55.84 Fe.upf
Al 26.98 Al.upf
Zr 91.22 Zr.upf
CELL_PARAMETERS angstrom
-3.372 -2.386 2.554
-0.884 1.243 4.611
-4.170 2.199 1.165
ATOMIC_POSITIONS crystal
Fe 0.376 0.376 0.376
Fe 0.376 0.376 0.873
Fe 0.376 0.873 0.376
Fe 0.873 0.376 0.376
Al 0.750 0.750 0.750
Zr 0.000 0.000 0.000

---

! Zr3AlFe8 | Materials Project | meta-GGA r2SCAN | optimized geometry; values from VASP
! Total energy = -16.06 eV/atom
! Space group = No. 160
! Energy of formation = -19.33 kJ per mole of atoms
! Total moment = 14.89 μB/f.u.
! Crystal system = trigonal
&SYSTEM
  ibrav = 0, nat = 12, ntyp = 3
/
ATOMIC_SPECIES
Fe 55.84 Fe.upf
Al 26.98 Al.upf
Zr 91.22 Zr.upf
CELL_PARAMETERS angstrom
-7.939 -1.774 -2.700
-5.673 -6.113 -1.981
-7.537 -3.628 1.870
ATOMIC_POSITIONS crystal
Fe 0.062 0.062 0.560
Fe 0.062 0.560 0.062
Fe 0.062 0.564 0.564
Fe 0.564 0.062 0.564
Fe 0.560 0.062 0.062
Fe 0.312 0.312 0.312
Fe 0.564 0.564 0.062
Fe 0.812 0.812 0.812
Al 0.126 0.126 0.126
Zr 0.004 0.004 0.004
Zr 0.497 0.497 0.497
Zr 0.625 0.625 0.625

---

! Al3Ga | Materials Project | meta-GGA r2SCAN | optimized geometry; values from VASP
! Total energy = -7.87 eV/atom
! Space group = No. 221
! Energy of formation = 4.19 kJ per mole of atoms
! Total moment = 0.00 μB/f.u.
! Crystal system = cubic
&SYSTEM
  ibrav = 0, nat = 4, ntyp = 2
/
ATOMIC_SPECIES
Ga 69.72 Ga.upf
Al 26.98 Al.upf
CELL_PARAMETERS angstrom
4.003 0.000 0.000
0.000 4.003 0.000
0.000 0.000 4.003
ATOMIC_POSITIONS crystal
Ga 0.000 0.000 0.000
Al 0.500 0.000 0.500
Al 0.000 0.500 0.500
Al 0.500 0.500 0.000

---

! Lu3Al2Ga3O12 | Materials Project | meta-GGA r2SCAN | optimized geometry; values from VASP
! Total energy = -14.87 eV/atom
! Space group = No. 230
! Energy of formation = -307.02 kJ per mole of atoms
! Total moment = 0.00 μB/f.u.
! Crystal system = cubic
&SYSTEM
  ibrav = 0, nat = 80, ntyp = 4
/
ATOMIC_SPECIES
O 16.00 O.upf
Lu 174.97 Lu.upf
Ga 69.72 Ga.upf
Al 26.98 Al.upf
CELL_PARAMETERS angstrom
8.708 0.583 5.644
-7.785 4.558 5.161
-2.354 -9.977 -1.717
ATOMIC_POSITIONS crystal
O 0.827 0.798 0.419
O 0.081 0.702 0.673
O 0.029 0.327 0.908
O 0.408 0.081 0.879
O 0.581 0.908 0.379
O 0.298 0.327 0.919
O 0.081 0.879 0.408
O 0.702 0.529 0.621
O 0.419 0.092 0.621
O 0.621 0.702 0.529
O 0.327 0.919 0.298
O 0.919 0.121 0.592
O 0.621 0.419 0.092
O 0.327 0.908 0.029
O 0.908 0.379 0.581
O 0.202 0.121 0.029
O 0.529 0.408 0.827
O 0.798 0.879 0.971
O 0.202 0.581 0.173
O 0.379 0.298 0.471
O 0.827 0.529 0.408
O 0.908 0.029 0.327
O 0.173 0.471 0.592
O 0.029 0.202 0.121
O 0.379 0.581 0.908
O 0.673 0.092 0.971
O 0.173 0.202 0.581
O 0.529 0.621 0.702
O 0.879 0.971 0.798
O 0.971 0.798 0.879
O 0.121 0.029 0.202
O 0.298 0.471 0.379
O 0.419 0.827 0.798
O 0.408 0.827 0.529
O 0.581 0.173 0.202
O 0.471 0.592 0.173
O 0.121 0.592 0.919
O 0.798 0.419 0.827
O 0.971 0.673 0.092
O 0.673 0.081 0.702
O 0.919 0.298 0.327
O 0.092 0.621 0.419
O 0.471 0.379 0.298
O 0.879 0.408 0.081
O 0.592 0.919 0.121
O 0.592 0.173 0.471
O 0.702 0.673 0.081
O 0.092 0.971 0.673
Lu 0.875 0.750 0.625
Lu 0.125 0.375 0.750
Lu 0.250 0.875 0.625
Lu 0.750 0.625 0.875
Lu 0.375 0.125 0.250
Lu 0.625 0.875 0.750
Lu 0.875 0.625 0.250
Lu 0.625 0.250 0.875
Lu 0.750 0.125 0.375
Lu 0.375 0.750 0.125
Lu 0.250 0.375 0.125
Lu 0.125 0.250 0.375
Ga 0.875 0.125 0.750
Ga 0.750 0.375 0.625
Ga 0.750 0.875 0.125
Ga 0.250 0.625 0.375
Ga 0.375 0.625 0.750
Ga 0.250 0.125 0.875
Ga 0.375 0.250 0.625
Ga 0.125 0.750 0.875
Ga 0.625 0.375 0.250
Ga 0.125 0.875 0.250
Ga 0.625 0.750 0.375
Ga 0.875 0.250 0.125
Al 0.500 0.500 0.000
Al 0.500 0.000 0.000
Al 0.000 0.500 0.000
Al 0.000 0.500 0.500
Al 0.500 0.000 0.500
Al 0.000 0.000 0.000
Al 0.500 0.500 0.500
Al 0.000 0.000 0.500

---

! AlGaN2 | Materials Project | meta-GGA r2SCAN | optimized geometry; values from VASP
! Total energy = -10.28 eV/atom
! Space group = No. 156
! Energy of formation = -112.66 kJ per mole of atoms
! Excess energy over the best structure of this formula in the dataset = 0 meV/atom
! Total moment = 0.00 μB/f.u.
! Crystal system = trigonal
&SYSTEM
  ibrav = 0, nat = 4, ntyp = 3
/
ATOMIC_SPECIES
N 14.01 N.upf
Al 26.98 Al.upf
Ga 69.72 Ga.upf
CELL_PARAMETERS angstrom
1.573 -2.724 0.000
1.573 2.724 0.000
0.000 0.000 5.097
ATOMIC_POSITIONS crystal
N 0.667 0.333 0.112
N 0.000 0.000 0.628
Al 0.000 0.000 0.999
Ga 0.667 0.333 0.497

---

! AlGaN2 | Materials Project | meta-GGA r2SCAN | optimized geometry; values from VASP
! Total energy = -10.27 eV/atom
! Space group = No. 115
! Energy of formation = -111.94 kJ per mole of atoms
! Excess energy over the best structure of this formula in the dataset = 7 meV/atom
! Total moment = 0.00 μB/f.u.
! Crystal system = tetragonal
&SYSTEM
  ibrav = 0, nat = 4, ntyp = 3
/
ATOMIC_SPECIES
N 14.01 N.upf
Ga 69.72 Ga.upf
Al 26.98 Al.upf
CELL_PARAMETERS angstrom
-1.494 0.598 2.697
1.945 -1.950 1.509
2.764 3.364 0.784
ATOMIC_POSITIONS crystal
N 0.000 0.500 0.262
N 0.500 0.000 0.738
Ga 0.000 0.000 0.000
Al 0.500 0.500 0.500